# Na4HfZn3SiS5O24 | the Materials Project database | PBE | optimized geometry
# Calculated volume: 1554 Å³/cell
# SG: P1
# Final energy: -6.10 eV per atom
data_Na4HfZn3SiS5O24
_chemical_formula_sum 'Na12 Hf3 Zn9 Si3 S15 O72'
_cell_length_a 8.9019
_cell_length_b 8.9063
_cell_length_c 22.6442
_cell_angle_alpha 89.97
_cell_angle_beta 90.66
_cell_angle_gamma 120.01
_space_group_name_H-M_alt 'P 1'
_space_group_IT_number 1
_space_group_name_Hall 'P 1'
loop_
_atom_site_label
_atom_site_type_symbol
_atom_site_fract_x
_atom_site_fract_y
_atom_site_fract_z
Na1 Na 0.3638 0.3643 0.2493
Na2 Na 0.3122 0.3430 0.5883
Na3 Na 0.0273 0.7001 0.5825
Na4 Na 0.9890 0.6791 0.9170
Na5 Na 0.7006 0.0294 0.9107
Na6 Na 0.3080 0.2869 0.9183
Na7 Na 0.9741 0.9860 0.4982
Na8 Na 0.0153 0.0127 0.0028
Na9 Na 0.6664 0.3239 0.8247
Na10 Na 0.6804 0.3290 0.3274
Na11 Na 0.3316 0.6782 0.1650
Na12 Na 0.3636 0.6791 0.6616
Hf1 Hf 0.6670 0.3259 0.9847
Hf2 Hf 0.6703 0.3432 0.4803
Hf3 Hf 0.3252 0.6694 0.8147
Zn1 Zn 0.9951 0.9962 0.3466
Zn2 Zn 0.0125 0.0150 0.8485
Zn3 Zn 0.9729 0.9839 0.6502
Zn4 Zn 0.9957 0.9949 0.1525
Zn5 Zn 0.6617 0.3419 0.6815
Zn6 Zn 0.6750 0.3330 0.1829
Zn7 Zn 0.3077 0.6584 0.0152
Zn8 Zn 0.3598 0.6771 0.5135
Zn9 Zn 0.3332 0.6779 0.3173
Si1 Si 0.6648 0.6340 0.5857
Si2 Si 0.0403 0.3697 0.9187
Si3 Si 0.3301 0.9597 0.9184
S1 S 0.2935 0.9995 0.2500
S2 S 0.7031 0.7033 0.2500
S3 S 0.0004 0.2944 0.2503
S4 S 0.2984 0.2954 0.7485
S5 S 0.9961 0.7035 0.7499
S6 S 0.7034 0.0029 0.7504
S7 S 0.9590 0.3325 0.5844
S8 S 0.3773 0.0404 0.5839
S9 S 0.9621 0.6330 0.0865
S10 S 0.6672 0.0318 0.0863
S11 S 0.3698 0.3357 0.0862
S12 S 0.6240 0.6657 0.9184
S13 S 0.6327 0.9631 0.4151
S14 S 0.3259 0.3655 0.4152
S15 S 0.0445 0.6702 0.4176
O1 O 0.2142 0.0297 0.3029
O2 O 0.8078 0.7829 0.3041
O3 O 0.9759 0.1908 0.3042
O4 O 0.2165 0.1993 0.8034
O5 O 0.9804 0.7865 0.8042
O6 O 0.7999 0.0195 0.8065
O7 O 0.7856 0.9793 0.6983
O8 O 0.1927 0.2144 0.6946
O9 O 0.0210 0.8061 0.6959
O10 O 0.7825 0.8069 0.1966
O11 O 0.0295 0.2142 0.1973
O12 O 0.1891 0.9751 0.1957
O13 O 0.8769 0.3535 0.6373
O14 O 0.4827 0.1121 0.6377
O15 O 0.6217 0.5052 0.6408
O16 O 0.8702 0.5238 0.1370
O17 O 0.6463 0.1222 0.1368
O18 O 0.4739 0.3501 0.1399
O19 O 0.4625 0.3183 0.0318
O20 O 0.8590 0.5461 0.0297
O21 O 0.6862 0.1402 0.0300
O22 O 0.4692 0.1503 0.5310
O23 O 0.6950 0.5322 0.5280
O24 O 0.8474 0.3052 0.5304
O25 O 0.5511 0.6993 0.9707
O26 O 0.1718 0.4420 0.9741
O27 O 0.2972 0.8427 0.9755
O28 O 0.5550 0.8633 0.4693
O29 O 0.3068 0.4466 0.4697
O30 O 0.1417 0.6873 0.4734
O31 O 0.1233 0.6414 0.3653
O32 O 0.5242 0.8855 0.3618
O33 O 0.3575 0.4723 0.3618
O34 O 0.1299 0.5000 0.8612
O35 O 0.3817 0.8776 0.8613
O36 O 0.5101 0.6295 0.8644
O37 O 0.0181 0.8208 0.4121
O38 O 0.8082 0.9845 0.4101
O39 O 0.1744 0.1896 0.4098
O40 O 0.9958 0.1713 0.9090
O41 O 0.1600 0.9795 0.9086
O42 O 0.7990 0.8121 0.9084
O43 O 0.9889 0.1827 0.5870
O44 O 0.2089 0.0396 0.5862
O45 O 0.8492 0.8180 0.5865
O46 O 0.9729 0.8045 0.0881
O47 O 0.8306 0.0260 0.0884
O48 O 0.1983 0.1753 0.0866
O49 O 0.6815 0.1567 0.7451
O50 O 0.4720 0.3113 0.7466
O51 O 0.8464 0.5254 0.7463
O52 O 0.6792 0.5236 0.2453
O53 O 0.8450 0.3157 0.2440
O54 O 0.4688 0.1616 0.2453
O55 O 0.6369 0.5036 0.9243
O56 O 0.8527 0.3675 0.9255
O57 O 0.5023 0.1583 0.9240
O58 O 0.6499 0.1404 0.4220
O59 O 0.4878 0.3472 0.4224
O60 O 0.8651 0.5055 0.4218
O61 O 0.3596 0.4947 0.0811
O62 O 0.1340 0.6472 0.0833
O63 O 0.5133 0.8598 0.0792
O64 O 0.3392 0.8595 0.5757
O65 O 0.4869 0.6429 0.5771
O66 O 0.1286 0.4949 0.5772
O67 O 0.3143 0.8442 0.2558
O68 O 0.5234 0.6792 0.2547
O69 O 0.1626 0.4695 0.2561
O70 O 0.3191 0.4749 0.7537
O71 O 0.1610 0.6904 0.7539
O72 O 0.5272 0.8395 0.7538